1.
# Mg6Si5, optimized geometry, DFT PBE
# Magnetization   0.00 μB/cell
# Energy relative to the elements   0.083 eV per atom
# E above lowest polymorph   50 meV/atom
# Crystal system   triclinic
# Total energy   -0.2417 Ry/atom
data_Mg6Si5
_chemical_formula_sum 'Mg12 Si10'
_cell_length_a 5.3787
_cell_length_b 5.8482
_cell_length_c 14.0012
_cell_angle_alpha 99.33
_cell_angle_beta 97.93
_cell_angle_gamma 94.69
_symmetry_space_group_name_H-M 'P 1'
_symmetry_Int_Tables_number 1
loop_
_symmetry_equiv_pos_as_xyz
'x,y,z'
loop_
_atom_site_label
_atom_site_type_symbol
_atom_site_fract_x
_atom_site_fract_y
_atom_site_fract_z
Mg1 Mg 0.0000 0.0000 0.0000
Mg2 Mg 0.0172 0.4823 0.6137
Mg3 Mg 0.2316 0.0229 0.6856
Mg4 Mg 0.4478 0.6947 0.5239
Mg5 Mg 0.4705 0.1792 0.4665
Mg6 Mg 0.5045 0.6613 0.0148
Mg7 Mg 0.5630 0.2422 0.1369
Mg8 Mg 0.7022 0.8270 0.7886
Mg9 Mg 0.7618 0.7939 0.2427
Mg10 Mg 0.9094 0.3775 0.8647
Mg11 Mg 0.9318 0.3848 0.3755
Mg12 Mg 0.9485 0.9199 0.4760
Si1 Si 0.0701 0.2174 0.1963
Si2 Si 0.1999 0.7921 0.8407
Si3 Si 0.2551 0.7995 0.3372
Si4 Si 0.2650 0.8439 0.1695
Si5 Si 0.3977 0.4319 0.8219
Si6 Si 0.4270 0.4373 0.3154
Si7 Si 0.4898 0.1275 0.9312
Si8 Si 0.5335 0.4196 0.6621
Si9 Si 0.7351 0.0725 0.6411
Si10 Si 0.9821 0.5047 0.0795

---

2.
# SrI2O6, optimized geometry, DFT PBE
# Magnetization   0.00 μB/cell
# Energy relative to the elements   -1.514 eV per atom
# E above lowest polymorph   26 meV/atom
# Crystal system   monoclinic
# Total energy   -0.3588 Ry/atom
data_SrI2O6
_chemical_formula_sum 'Sr2 I4 O12'
_cell_length_a 6.1967
_cell_length_b 5.4476
_cell_length_c 10.6079
_cell_angle_alpha 90.00
_cell_angle_beta 90.56
_cell_angle_gamma 90.00
_symmetry_space_group_name_H-M 'P 1 21 1'
_symmetry_Int_Tables_number 4
loop_
_symmetry_equiv_pos_as_xyz
'x,y,z'
'-x,y+1/2,-z'
loop_
_atom_site_label
_atom_site_type_symbol
_atom_site_fract_x
_atom_site_fract_y
_atom_site_fract_z
Sr1 Sr 0.2244 0.0000 0.2421
I1 I 0.2701 0.3897 0.5727
I2 I 0.2752 0.8977 0.8953
O1 O 0.0150 0.2415 0.6144
O2 O 0.1327 0.7151 0.7760
O3 O 0.1473 0.7868 0.0390
O4 O 0.3536 0.2093 0.4360
O5 O 0.4481 0.2568 0.6933
O6 O 0.4639 0.2419 0.0957

---

3.
# Sr2LiH8O6, optimized geometry, DFT PBE
# Magnetization   0.00 μB/cell
# Energy relative to the elements   -1.645 eV per atom
# E above lowest polymorph   13 meV/atom
# Crystal system   triclinic
# Total energy   -0.3717 Ry/atom
data_Sr2LiH8O6
_chemical_formula_sum 'Sr2 Li1 H8 O6'
_cell_length_a 3.5369
_cell_length_b 6.7664
_cell_length_c 7.6507
_cell_angle_alpha 92.14
_cell_angle_beta 90.21
_cell_angle_gamma 90.64
_symmetry_space_group_name_H-M 'P 1'
_symmetry_Int_Tables_number 1
loop_
_symmetry_equiv_pos_as_xyz
'x,y,z'
loop_
_atom_site_label
_atom_site_type_symbol
_atom_site_fract_x
_atom_site_fract_y
_atom_site_fract_z
Sr1 Sr 0.0000 0.0000 0.0000
Sr2 Sr 0.0035 0.1382 0.5131
Li1 Li 0.0154 0.5373 0.3606
H1 H 0.1782 0.7033 0.6304
H2 H 0.2155 0.5377 0.0541
H3 H 0.4917 0.6692 0.8632
H4 H 0.4979 0.8723 0.2626
H5 H 0.5072 0.2793 0.7982
H6 H 0.5109 0.3311 0.2933
H7 H 0.7290 0.7027 0.6072
H8 H 0.7843 0.5328 0.0553
O1 O 0.0013 0.4526 0.1005
O2 O 0.4972 0.0171 0.2653
O3 O 0.4977 0.7181 0.9879
O4 O 0.5031 0.1345 0.7770
O5 O 0.5098 0.3942 0.4106
O6 O 0.9704 0.7538 0.5506

---

4.
# KInSe2, optimized geometry, DFT PBE
# Energy relative to the elements   -1.140 eV per atom
# Crystal system   monoclinic
# Total energy   -0.2659 Ry/atom
data_KInSe2
_chemical_formula_sum 'K16 In16 Se32'
_cell_length_a 11.6785
_cell_length_b 11.6724
_cell_length_c 15.9591
_cell_angle_alpha 90.00
_cell_angle_beta 100.53
_cell_angle_gamma 90.00
_symmetry_space_group_name_H-M 'C 1 2/c 1'
_symmetry_Int_Tables_number 15
loop_
_symmetry_equiv_pos_as_xyz
'x,y,z'
'-x,-y,-z'
'-x,y,-z+1/2'
'x,-y,z+1/2'
'x+1/2,y+1/2,z'
'-x+1/2,-y+1/2,-z'
'-x+1/2,y+1/2,-z+1/2'
'x+1/2,-y+1/2,z+1/2'
loop_
_atom_site_label
_atom_site_type_symbol
_atom_site_fract_x
_atom_site_fract_y
_atom_site_fract_z
K1 K 0.0330 0.1867 0.3863
K2 K 0.2176 0.4384 0.1186
In1 In 0.1007 0.1884 0.6562
In2 In 0.1476 0.4367 0.8436
Se1 Se 0.0000 0.0496 0.7500
Se2 Se 0.0000 0.4244 0.2500
Se3 Se 0.0492 0.3128 0.9469
Se4 Se 0.2007 0.0619 0.5542
Se5 Se 0.2368 0.1879 0.2498

---

Among the records above, which one has the lowest total energy?
Sr2LiH8O6